VASP calculation (GGA-PBE) on a relaxed Na5Pr4Si4O16F crystal.

DFT formation energy in eV/atom: -3.26
Space group: I-4
M_tot in μB/atom: 0.000

Lattice parameters (Å, degrees): 9.009 9.009 9.009 95.39 95.39 144.30
Atoms (fractional coordinates):
O (0.277, 0.041, 0.855)
Si (0.760, 0.906, 0.651)
O (0.601, 0.879, 0.511)
O (0.368, 0.090, 0.489)
O (0.045, 0.218, 0.754)
Pr (0.701, 0.398, 0.067)
Si (0.094, 0.745, 0.854)
Pr (0.602, 0.669, 0.303)
O (0.729, 0.160, 0.972)
O (0.578, 0.723, 0.764)
O (0.708, 0.955, 0.172)
O (0.243, 0.271, 0.431)
O (0.910, 0.399, 0.278)
O (0.464, 0.292, 0.246)
O (0.121, 0.632, 0.722)
O (0.959, 0.814, 0.236)
Si (0.891, 0.240, 0.146)
O (0.840, 0.812, 0.569)
Pr (0.331, 0.634, 0.933)
Na (0.000, 0.000, 0.000)
Na (0.113, 0.419, 0.516)
Na (0.403, 0.887, 0.306)
Pr (0.366, 0.299, 0.697)
Si (0.255, 0.109, 0.349)
Na (0.903, 0.597, 0.484)
F (0.500, 0.500, 0.000)
O (0.188, 0.757, 0.028)
O (0.782, 0.536, 0.828)
O (0.186, 0.422, 0.145)
Na (0.581, 0.097, 0.694)

=====

VASP calculation (GGA-PBE) on a relaxed Na7SnS3O12F3 crystal.

DFT formation energy in eV/atom: -2.30
Space group: P6_3mc

Lattice parameters (Å, degrees): 10.934 10.934 6.794 90.00 90.00 120.00
Atoms (fractional coordinates):
Na (0.939, 0.469, 0.231)
O (0.215, 0.785, 0.679)
Na (0.653, 0.827, 0.009)
Na (0.827, 0.653, 0.509)
O (0.704, 0.073, 0.880)
O (0.073, 0.704, 0.380)
S (0.169, 0.831, 0.499)
O (0.073, 0.370, 0.380)
O (0.186, 0.093, 0.054)
Na (0.531, 0.061, 0.231)
O (0.570, 0.785, 0.679)
S (0.169, 0.339, 0.499)
O (0.296, 0.370, 0.380)
O (0.093, 0.186, 0.554)
O (0.630, 0.704, 0.380)
O (0.370, 0.073, 0.880)
Na (0.061, 0.531, 0.731)
Na (0.173, 0.347, 0.009)
F (0.841, 0.421, 0.550)
O (0.215, 0.430, 0.679)
O (0.370, 0.296, 0.880)
S (0.831, 0.169, 0.999)
F (0.579, 0.159, 0.550)
Sn (0.667, 0.333, 0.749)
S (0.339, 0.169, 0.999)
O (0.296, 0.927, 0.380)
Na (0.000, 0.000, 0.796)
O (0.704, 0.630, 0.880)
Sn (0.333, 0.667, 0.249)
Na (0.469, 0.939, 0.731)
F (0.421, 0.579, 0.050)
F (0.421, 0.841, 0.050)
Na (0.000, 0.000, 0.296)
O (0.907, 0.814, 0.054)
O (0.630, 0.927, 0.380)
F (0.579, 0.421, 0.550)
F (0.159, 0.579, 0.050)
Na (0.173, 0.827, 0.009)
Na (0.347, 0.173, 0.509)
Na (0.827, 0.173, 0.509)
O (0.785, 0.215, 0.179)
Na (0.531, 0.469, 0.231)
O (0.785, 0.570, 0.179)
S (0.831, 0.661, 0.999)
O (0.093, 0.907, 0.554)
O (0.907, 0.093, 0.054)
O (0.430, 0.215, 0.179)
O (0.814, 0.907, 0.554)
O (0.927, 0.296, 0.880)
S (0.661, 0.831, 0.499)
O (0.927, 0.630, 0.880)
Na (0.469, 0.531, 0.731)

=====

VASP calculation (GGA-PBE) on a relaxed NaZnSO4F crystal.

DFT formation energy in eV/atom: -2.16
Space group: C2/c
M_tot in μB/atom: 0.000

Lattice parameters (Å, degrees): 5.524 5.524 7.246 104.43 104.43 103.66
Atoms (fractional coordinates):
O (0.587, 0.742, 0.899)
O (0.121, 0.678, 0.858)
S (0.320, 0.680, 0.750)
O (0.322, 0.879, 0.642)
O (0.678, 0.121, 0.358)
F (0.914, 0.086, 0.750)
O (0.258, 0.413, 0.601)
Zn (0.000, 0.000, 0.500)
S (0.680, 0.320, 0.250)
Na (0.337, 0.663, 0.250)
O (0.879, 0.322, 0.142)
Zn (0.000, 0.000, 0.000)
O (0.413, 0.258, 0.101)
Na (0.663, 0.337, 0.750)
O (0.742, 0.587, 0.399)
F (0.086, 0.914, 0.250)